Material: YAlCu
Method: DFT, PBE-GGA
State: optimized geometry

Summary:
Spin magnetization in Bohr magnetons per cell: 0.0
ΔH_f (0 K) in eV per atom: 0.120

Lattice parameters (Å, degrees): 7.1651 7.1651 4.5995 90.00 90.00 120.00
Closest atoms and distances in Å follow each position.
Positions (direct):
Al (0.7724, 0.7724, 0.5000)  2 Cu 2.61, 4 Y 2.82-2.84, 2 Al 2.82
Al (0.2276, 0.0000, 0.5000)  2 Cu 2.61, 4 Y 2.82-2.84, 2 Al 2.82
Cu (0.4009, 0.0000, 0.0000)  2 Al 2.61, 1 Y 2.87
Y (0.0000, 0.0000, 0.0000)  6 Al 2.82, 3 Cu 2.87
Cu (0.5991, 0.5991, 0.0000)  2 Al 2.61, 1 Y 2.87
Y (0.3333, 0.6667, 0.5000)  3 Al 2.84, 6 Cu 3.17
Cu (0.0000, 0.4009, 0.0000)  2 Al 2.61, 1 Y 2.87
Y (0.6667, 0.3333, 0.5000)  3 Al 2.84, 6 Cu 3.17
Al (0.0000, 0.2276, 0.5000)  2 Cu 2.61, 4 Y 2.82-2.84, 2 Al 2.82